Record 1
The following is a DFT calculation (PBE) of an optimized crystal structure of FeSiW.

Calculated values
Its energy relative to the lowest polymorph listed for this composition is 0.064 eV/atom. The total magnetic moment comes out at 3.4 μB per cell.

Cell: 4.791 4.791 7.549 Å, 90.00 90.00 119.60°
Fractional coordinates of all 12 atoms:
Si  0.167  0.338  0.500
Si  0.167  0.833  0.500
Si  0.835  0.165  0.000
Si  0.662  0.833  0.500
W  0.666  0.334  0.680
W  0.332  0.668  0.811
W  0.332  0.668  0.189
W  0.666  0.334  0.320
Fe  0.998  0.002  0.741
Fe  0.346  0.170  0.000
Fe  0.998  0.002  0.259
Fe  0.830  0.654  0.000


Record 2
The following is a DFT calculation (PBE) of an optimized crystal structure of MgCo2Sb2S2.

Calculated values
Its energy relative to the lowest polymorph listed for this composition is 0.000 eV/atom. The total magnetic moment comes out at 0.0 μB per cell.

Cell: 3.523 5.145 7.186 Å, 104.11 90.00 90.00°
Fractional coordinates of all 7 atoms:
Mg  0.000  0.645  0.962
Sb  0.500  0.070  0.826
Sb  0.000  0.042  0.385
Co  0.500  0.753  0.495
Co  0.000  0.196  0.080
S  0.000  0.537  0.596
S  0.500  0.493  0.193


Record 3
The following is a DFT calculation (PBE) of an optimized crystal structure of Rb2Ba8LiSb6O2.

Calculated values
Its energy relative to the lowest polymorph listed for this composition is 0.004 eV/atom. The total magnetic moment comes out at 1.0 μB per cell.

Cell: 9.286 9.253 10.718 Å, 117.80 118.04 86.12°
Fractional coordinates of all 19 atoms:
Li  0.552  0.039  0.351
Ba  0.691  0.193  0.717
Ba  0.293  0.794  0.319
Ba  0.193  0.003  0.712
Ba  0.837  0.999  0.292
Ba  0.995  0.495  0.308
Ba  0.502  0.694  0.712
Ba  0.981  0.481  0.682
Ba  0.498  0.332  0.293
Sb  0.740  0.759  0.496
Sb  0.386  0.886  0.016
Sb  0.112  0.382  0.997
Sb  0.635  0.135  0.007
Sb  0.257  0.242  0.497
Sb  0.881  0.612  0.996
O  0.244  0.745  0.509
O  0.727  0.225  0.479
Rb  0.008  0.997  0.002
Rb  0.497  0.508  0.003


| no. | energy relative to the elements (eV per atom) |
| --- | --- |
| 1 | -0.2402 |
| 2 | -0.4639 |
| 3 | -1.2606 |